# 1
Density functional theory data (GGA+U) for crystalline Li7Mn2Co3O12 at its relaxed geometry.

Unit cell a=5.763 b=5.917 c=7.747 alpha=68.53 beta=79.08 gamma=60.91
Space group P1 (No. 1)
Asymmetric unit:
Li 0.000 0.000 0.000
Li 0.002 0.502 0.990
Li 0.161 0.838 0.685
Li 0.336 0.156 0.334
Li 0.499 0.503 0.989
Li 0.663 0.833 0.676
Li 0.840 0.155 0.330
Mn 0.336 0.661 0.328
Mn 0.840 0.654 0.330
Co 0.164 0.326 0.680
Co 0.502 0.995 0.001
Co 0.666 0.322 0.680
O 0.007 0.743 0.475
O 0.166 0.575 0.186
O 0.206 0.031 0.171
O 0.327 0.431 0.826
O 0.338 0.943 0.837
O 0.476 0.285 0.502
O 0.515 0.727 0.484
O 0.670 0.564 0.187
O 0.677 0.029 0.171
O 0.803 0.947 0.834
O 0.839 0.419 0.818
O 0.988 0.272 0.496

Calculated values
Total magnetic moment   8.0 μB/f.u.
Energy relative to the elements   -1.89 eV/atom
ΔE to the lowest computed polymorph   0.039 eV/atom

# 2
Density functional theory data (GGA+U) for crystalline Li7Mn4CoO12 at its relaxed geometry.

Unit cell a=5.903 b=8.220 c=10.115 alpha=113.50 beta=103.96 gamma=90.76
Space group P-1 (No. 2)
Asymmetric unit:
Li 0.000 0.000 0.000
Li 0.000 0.000 0.500
Li 0.000 0.500 0.000
Li 0.151 0.167 0.325
Li 0.159 0.691 0.832
Li 0.322 0.307 0.162
Li 0.342 0.835 0.674
Li 0.500 0.000 0.000
Li 0.500 0.000 0.500
Li 0.500 0.500 0.000
Mn 0.159 0.658 0.330
Mn 0.177 0.159 0.838
Mn 0.324 0.841 0.163
Mn 0.337 0.340 0.669
Co 0.000 0.500 0.500
Co 0.500 0.500 0.500
O 0.008 0.734 0.490
O 0.012 0.760 0.021
O 0.143 0.898 0.316
O 0.157 0.425 0.338
O 0.167 0.934 0.831
O 0.189 0.402 0.829
O 0.312 0.572 0.644
O 0.319 0.597 0.173
O 0.332 0.067 0.171
O 0.359 0.098 0.685
O 0.486 0.269 0.509
O 0.487 0.238 0.980

Calculated values
Total magnetic moment   13.0 μB/f.u.
Energy relative to the elements   -2.04 eV/atom
ΔE to the lowest computed polymorph   0.045 eV/atom

# 3
Density functional theory data (GGA+U) for crystalline Li4MnCo2O7 at its relaxed geometry.

Unit cell a=4.996 b=5.055 c=10.702 alpha=84.02 beta=80.69 gamma=73.60
Space group P-1 (No. 2)
Asymmetric unit:
Li 0.000 0.000 0.000
Li 0.065 0.499 0.861
Li 0.214 0.501 0.573
Li 0.359 0.497 0.285
Li 0.500 0.500 0.000
Mn 0.289 0.998 0.426
Co 0.140 0.001 0.718
Co 0.432 0.991 0.135
O 0.037 0.769 0.418
O 0.096 0.231 0.289
O 0.207 0.772 0.142
O 0.271 0.232 0.005
O 0.338 0.783 0.847
O 0.380 0.231 0.724
O 0.472 0.765 0.563

Calculated values
Total magnetic moment   9.0 μB/f.u.
Energy relative to the elements   -1.81 eV/atom
ΔE to the lowest computed polymorph   0.078 eV/atom

# 4
Density functional theory data (GGA+U) for crystalline Li7Mn4CoO12 at its relaxed geometry.

Unit cell a=2.873 b=10.580 c=15.224 alpha=72.38 beta=84.63 gamma=82.32
Space group P-1 (No. 2)
Asymmetric unit:
Li 0.123 0.214 0.039
Li 0.129 0.537 0.706
Li 0.130 0.876 0.369
Li 0.249 0.250 0.750
Li 0.369 0.964 0.794
Li 0.373 0.623 0.132
Li 0.374 0.285 0.462
Mn 0.003 0.163 0.334
Mn 0.249 0.914 0.088
Mn 0.252 0.585 0.412
Mn 0.498 0.336 0.167
Co 0.000 0.500 0.000
Co 0.500 0.000 0.500
O 0.057 0.205 0.179
O 0.060 0.532 0.848
O 0.070 0.874 0.512
O 0.194 0.213 0.901
O 0.195 0.902 0.210
O 0.197 0.551 0.556
O 0.302 0.950 0.944
O 0.304 0.288 0.599
O 0.307 0.597 0.290
O 0.438 0.970 0.651
O 0.441 0.294 0.322
O 0.444 0.627 0.987

Calculated values
Total magnetic moment   0.5 μB/f.u.
Energy relative to the elements   -2.04 eV/atom
ΔE to the lowest computed polymorph   0.048 eV/atom

# 5
Density functional theory data (GGA+U) for crystalline Li7Mn2Co3O12 at its relaxed geometry.

Unit cell a=5.032 b=5.115 c=8.846 alpha=91.22 beta=91.50 gamma=108.51
Space group P1 (No. 1)
Asymmetric unit:
Li 0.000 0.000 0.000
Li 0.003 0.503 0.152
Li 0.480 0.492 0.008
Li 0.490 0.498 0.676
Li 0.493 0.501 0.326
Li 0.985 0.496 0.499
Li 0.996 0.506 0.849
Mn 0.481 0.987 0.501
Mn 0.989 0.998 0.672
Co 0.487 0.997 0.167
Co 0.512 0.014 0.852
Co 0.989 0.994 0.322
O 0.223 0.205 0.504
O 0.231 0.234 0.818
O 0.241 0.754 0.347
O 0.248 0.785 0.662
O 0.250 0.221 0.175
O 0.274 0.769 0.006
O 0.705 0.209 0.344
O 0.732 0.770 0.508
O 0.734 0.255 0.994
O 0.737 0.218 0.657
O 0.738 0.775 0.177
O 0.762 0.778 0.818

Calculated values
Total magnetic moment   12.0 μB/f.u.
Energy relative to the elements   -1.88 eV/atom
ΔE to the lowest computed polymorph   0.052 eV/atom

# 6
Density functional theory data (GGA+U) for crystalline Li4MnCo2O7 at its relaxed geometry.

Unit cell a=5.136 b=20.004 c=5.178 alpha=90.00 beta=111.50 gamma=90.00
Space group C2/m (No. 12)
Asymmetric unit:
Li 0.000 0.000 0.000
Li 0.000 0.067 0.500
Li 0.000 0.215 0.500
Li 0.000 0.359 0.500
Li 0.000 0.500 0.500
Mn 0.000 0.141 0.000
Co 0.000 0.285 0.000
Co 0.000 0.431 0.000
O 0.217 0.500 0.227
O 0.227 0.215 0.229
O 0.235 0.077 0.239
O 0.246 0.357 0.209

Calculated values
Total magnetic moment   11.0 μB/f.u.
Energy relative to the elements   -1.80 eV/atom
ΔE to the lowest computed polymorph   0.081 eV/atom

Number 1: total energy -5.8895 eV per atom. Number 2: total energy -6.2038 eV per atom. Number 3: total energy -5.7984 eV per atom. Number 4: total energy -6.2005 eV per atom. Number 5: total energy -5.8774 eV per atom. Number 6: total energy -5.7957 eV per atom.